(1)
VASP calculation (PBE with a Hubbard U) on a geometry-optimized Cr3H4NO8 structure.

The structure in POSCAR format:
```
Cr3H4NO8
1.0
14.840 0.000 0.000
0.000 5.553 0.000
0.000 0.000 8.875
Cr H N O
12 16 4 32
direct
0.063 0.250 0.180
0.156 0.750 0.995
0.163 0.250 0.746
0.337 0.750 0.246
0.344 0.250 0.495
0.437 0.750 0.680
0.563 0.250 0.320
0.656 0.750 0.505
0.663 0.250 0.754
0.837 0.750 0.254
0.844 0.250 0.005
0.937 0.750 0.820
0.066 0.750 0.510
0.138 0.599 0.395
0.138 0.901 0.395
0.178 0.750 0.544
0.322 0.250 0.044
0.362 0.099 0.895
0.362 0.401 0.895
0.434 0.250 0.010
0.566 0.750 0.990
0.638 0.599 0.105
0.638 0.901 0.105
0.678 0.750 0.956
0.822 0.250 0.456
0.862 0.099 0.605
0.862 0.401 0.605
0.934 0.250 0.490
0.130 0.750 0.462
0.370 0.250 0.962
0.630 0.750 0.038
0.870 0.250 0.538
0.029 0.750 0.926
0.038 0.250 0.359
0.057 0.250 0.713
0.126 0.003 0.146
0.126 0.497 0.146
0.191 0.003 0.846
0.191 0.497 0.846
0.218 0.250 0.579
0.282 0.750 0.079
0.309 0.503 0.346
0.309 0.997 0.346
0.374 0.503 0.646
0.374 0.997 0.646
0.443 0.750 0.213
0.462 0.750 0.859
0.471 0.250 0.426
0.529 0.750 0.574
0.538 0.250 0.141
0.557 0.250 0.787
0.626 0.003 0.354
0.626 0.497 0.354
0.691 0.003 0.654
0.691 0.497 0.654
0.718 0.250 0.921
0.782 0.750 0.421
0.809 0.503 0.154
0.809 0.997 0.154
0.874 0.503 0.854
0.874 0.997 0.854
0.943 0.750 0.287
0.962 0.750 0.641
0.971 0.250 0.074
```

The calculated volume comes out at 11.43 Å³/atom.

=====

(2)
VASP calculation (PBE with a Hubbard U) on a geometry-optimized CrH8N2O4 structure.

The structure in POSCAR format:
```
CrH8N2O4
1.0
6.163 -3.182 0.000
6.163 3.182 0.000
-3.292 0.000 6.967
Cr H N O
2 16 4 8
direct
0.173 0.173 0.214
0.827 0.827 0.786
0.081 0.081 0.751
0.082 0.342 0.804
0.141 0.141 0.591
0.342 0.082 0.804
0.343 0.606 0.820
0.394 0.657 0.180
0.412 0.412 0.607
0.438 0.438 0.265
0.562 0.562 0.735
0.588 0.588 0.393
0.606 0.343 0.820
0.657 0.394 0.180
0.658 0.918 0.196
0.859 0.859 0.409
0.918 0.658 0.196
0.919 0.919 0.249
0.161 0.161 0.737
0.481 0.481 0.746
0.519 0.519 0.254
0.839 0.839 0.263
0.073 0.644 0.922
0.091 0.091 0.340
0.320 0.320 0.359
0.356 0.927 0.078
0.644 0.073 0.922
0.680 0.680 0.641
0.909 0.909 0.660
0.927 0.356 0.078
```

The calculated volume comes out at 9.11 Å³/atom.

=====

no.,formation energy (eV per formula unit)
1,-22.72
2,-14.14